(1)
Computed, not measured: an optimized crystal structure of CsAsO4 at the GGA-PBE level of DFT.

Structure (CIF):
```
data_CsAsO4
_chemical_formula_sum 'Cs4 As4 O16'
_cell_length_a 7.8346
_cell_length_b 7.8346
_cell_length_c 8.0200
_cell_angle_alpha 90.00
_cell_angle_beta 90.00
_cell_angle_gamma 90.00
_space_group_name_H-M_alt 'I -4 2 d'
_space_group_IT_number 122
_space_group_name_Hall 'I -4 2bw'
loop_
_atom_site_label
_atom_site_type_symbol
_atom_site_fract_x
_atom_site_fract_y
_atom_site_fract_z
_atom_site_occupancy
Cs1 Cs 0.0000 0.0000 0.0000 1
As1 As 0.0000 0.0000 0.5000 1
O1 O 0.1050 0.1396 0.3655 1
```

Calculated values
Size of the total moment (μB/cell): 8.0



(2)
Computed, not measured: an optimized crystal structure of Cs3AsO4 at the GGA-PBE level of DFT.

Structure (CIF):
```
data_Cs3AsO4
_chemical_formula_sum 'Cs12 As4 O16'
_cell_length_a 12.7399
_cell_length_b 9.1986
_cell_length_c 6.7409
_cell_angle_alpha 90.00
_cell_angle_beta 90.00
_cell_angle_gamma 90.00
_space_group_name_H-M_alt 'P n m a'
_space_group_IT_number 62
_space_group_name_Hall '-P 2ac 2n'
loop_
_atom_site_label
_atom_site_type_symbol
_atom_site_fract_x
_atom_site_fract_y
_atom_site_fract_z
_atom_site_occupancy
Cs1 Cs 0.0758 0.2500 0.1437 1
Cs2 Cs 0.1449 0.0074 0.6898 1
As1 As 0.1137 0.7500 0.2740 1
O1 O 0.0090 0.7500 0.4404 1
O2 O 0.1081 0.5948 0.1284 1
O3 O 0.2295 0.7500 0.4109 1
```



(3)
Computed, not measured: an optimized crystal structure of Cs2As4Pd3O14 at the GGA-PBE level of DFT.

Structure (CIF):
```
data_Cs2As4Pd3O14
_chemical_formula_sum 'Cs8 As16 Pd12 O56'
_cell_length_a 16.5604
_cell_length_b 16.5604
_cell_length_c 6.1735
_cell_angle_alpha 90.00
_cell_angle_beta 90.00
_cell_angle_gamma 90.00
_space_group_name_H-M_alt 'P 4/n'
_space_group_IT_number 85
loop_
_space_group_symop_operation_xyz
'x,y,z'
'-x,-y,-z'
'-y+1/2,x,z'
'y+1/2,-x,-z'
'-x+1/2,-y+1/2,z'
'x+1/2,y+1/2,-z'
'y,-x+1/2,z'
'-y,x+1/2,-z'
loop_
_atom_site_label
_atom_site_type_symbol
_atom_site_fract_x
_atom_site_fract_y
_atom_site_fract_z
_atom_site_occupancy
Cs1 Cs 0.0126 0.8315 0.0275 1
As1 As 0.0929 0.6783 0.4974 1
As2 As 0.0985 0.3320 0.4202 1
Pd1 Pd 0.0000 0.0000 0.5000 1
Pd2 Pd 0.2500 0.2500 0.1944 1
Pd3 Pd 0.2500 0.2500 0.6515 1
Pd4 Pd 0.2500 0.7500 0.2641 1
O1 O 0.0086 0.2844 0.5265 1
O2 O 0.0659 0.4226 0.3152 1
O3 O 0.0745 0.9031 0.5045 1
O4 O 0.1275 0.2712 0.2072 1
O5 O 0.1296 0.7170 0.7368 1
O6 O 0.1314 0.7168 0.2600 1
O7 O 0.1611 0.1622 0.6399 1
```

Calculated values
Size of the total moment (μB/cell): 0.0



(4)
Computed, not measured: an optimized crystal structure of Cs2As2Se6O at the GGA-PBE level of DFT.

Structure (CIF):
```
data_Cs2As2Se6O
_chemical_formula_sum 'Cs8 As8 Se24 O4'
_cell_length_a 23.0048
_cell_length_b 5.7904
_cell_length_c 12.4916
_cell_angle_alpha 90.00
_cell_angle_beta 119.51
_cell_angle_gamma 90.00
_space_group_name_H-M_alt 'C 1 2/c 1'
_space_group_IT_number 15
_space_group_name_Hall '-C 2yc'
loop_
_atom_site_label
_atom_site_type_symbol
_atom_site_fract_x
_atom_site_fract_y
_atom_site_fract_z
_atom_site_occupancy
Cs1 Cs 0.0770 0.0043 0.4466 1
As1 As 0.1796 0.4685 0.7853 1
Se1 Se 0.0585 0.4607 0.6806 1
Se2 Se 0.1877 0.0497 0.8126 1
Se3 Se 0.1940 0.4985 0.6026 1
O1 O 0.0000 0.4192 0.2500 1
```

Calculated values
Size of the total moment (μB/cell): 0.0



The records above give, respectively, total DFT energy (no corrections) values of -5.09 -5.06 -5.70 -3.79 eV/atom.